First-principles (r²SCAN) data for crystalline SmReB4 at its relaxed geometry, as listed in the Materials Project database.

Output
The calculation puts the volume at 10.720 Å³/atom. The energy of formation is -3.508 eV/f.u. Its space group is No. 55.

Lattice parameters (Å, degrees): 6.034 11.667 3.655 90.00 90.00 90.00
Fractional positions:
Sm 0.125 0.151 0.000
Sm 0.375 0.651 0.000
Sm 0.625 0.349 0.000
Sm 0.875 0.849 0.000
Re 0.130 0.414 0.000
Re 0.370 0.914 0.000
Re 0.630 0.086 0.000
Re 0.870 0.586 0.000
B 0.024 0.690 0.500
B 0.113 0.546 0.500
B 0.140 0.968 0.500
B 0.217 0.816 0.500
B 0.283 0.316 0.500
B 0.360 0.468 0.500
B 0.387 0.046 0.500
B 0.476 0.190 0.500
B 0.524 0.810 0.500
B 0.613 0.954 0.500
B 0.640 0.532 0.500
B 0.717 0.684 0.500
B 0.783 0.184 0.500
B 0.860 0.032 0.500
B 0.887 0.454 0.500
B 0.976 0.310 0.500